1.
# NaZn2Se2O7 GGA-PBE relaxed
data_NaZn2Se2O7
_chemical_formula_sum 'Na4 Zn8 Se8 O28'
_symmetry_space_group_name_H-M 'P n m a'
_symmetry_Int_Tables_number 62
_cell_length_a 13.564
_cell_length_b 6.273
_cell_length_c 8.353
_cell_angle_alpha 90.00
_cell_angle_beta 90.00
_cell_angle_gamma 90.00
loop_
_symmetry_equiv_pos_as_xyz
'x,y,z'
'-x,-y,-z'
'-x+1/2,-y,z+1/2'
'x+1/2,y,-z+1/2'
'x+1/2,-y+1/2,-z+1/2'
'-x+1/2,y+1/2,z+1/2'
'-x,y+1/2,-z'
'x,-y+1/2,z'
loop_
_atom_site_label
_atom_site_type_symbol
_atom_site_fract_x
_atom_site_fract_y
_atom_site_fract_z
_atom_site_occupancy
Na1 Na 0.247 0.250 0.136 1
Zn1 Zn 0.000 0.000 0.500 1
Zn2 Zn 0.112 0.250 0.779 1
Se1 Se 0.025 0.750 0.886 1
Se2 Se 0.172 0.750 0.272 1
O1 O 0.016 0.534 0.756 1
O2 O 0.082 0.250 0.541 1
O3 O 0.090 0.250 0.024 1
O4 O 0.114 0.750 0.463 1
O5 O 0.243 0.048 0.795 1
# - Corrected total energy (MP2020 scheme): -252.58 eV for the cell shown
# - Magnetic moment: 1.001 μB per formula unit
# - ρ: 3960 kg/m3
# - Energy of formation: -1.473 eV/atom



2.
# TbGaO3 GGA-PBE relaxed
data_TbGaO3
_chemical_formula_sum 'Tb6 Ga6 O18'
_symmetry_space_group_name_H-M 'R -3 c'
_symmetry_Int_Tables_number 167
_symmetry_space_group_name_Hall '-R 3 2"c'
_cell_length_a 5.5026
_cell_length_b 5.5026
_cell_length_c 13.0192
_cell_angle_alpha 90.00
_cell_angle_beta 90.00
_cell_angle_gamma 120.00
loop_
_atom_site_label
_atom_site_type_symbol
_atom_site_fract_x
_atom_site_fract_y
_atom_site_fract_z
_atom_site_occupancy
Tb1 Tb 0.0000 0.0000 0.2500 1
Ga1 Ga 0.0000 0.0000 0.0000 1
O1 O 0.0000 0.4068 0.2500 1
# - Corrected total energy (MP2020 scheme): -227.05 eV for the cell shown
# - Magnetic moment: 0.000 μB per formula unit
# - ρ: 8074 kg/m3
# - Energy of formation: -3.067 eV/atom



3.
# USiOs2C GGA-PBE relaxed
data_USiOs2C
_chemical_formula_sum 'U4 Si4 Os8 C4'
_symmetry_space_group_name_H-M 'C m c m'
_symmetry_Int_Tables_number 63
_symmetry_space_group_name_Hall '-C 2c 2'
_cell_length_a 3.849
_cell_length_b 11.355
_cell_length_c 6.995
_cell_angle_alpha 90.00
_cell_angle_beta 90.00
_cell_angle_gamma 90.00
loop_
_atom_site_label
_atom_site_type_symbol
_atom_site_fract_x
_atom_site_fract_y
_atom_site_fract_z
_atom_site_occupancy
U1 U 0.000 0.052 0.250 1
Si1 Si 0.000 0.227 0.750 1
Os1 Os 0.000 0.335 0.053 1
C1 C 0.000 0.500 0.000 1
# - Magnetic moment: 1.713 μB per formula unit
# - ρ: 14310 kg/m3
# - Energy of formation: -0.288 eV/atom



4.
# K2TlSbCl6 GGA-PBE relaxed
data_K2TlSbCl6
_chemical_formula_sum 'K8 Tl4 Sb4 Cl24'
_symmetry_space_group_name_H-M 'F m -3 m'
_symmetry_Int_Tables_number 225
_symmetry_space_group_name_Hall '-F 4 2 3'
_cell_length_a 11.350
_cell_length_b 11.350
_cell_length_c 11.350
_cell_angle_alpha 90.00
_cell_angle_beta 90.00
_cell_angle_gamma 90.00
loop_
_atom_site_label
_atom_site_type_symbol
_atom_site_fract_x
_atom_site_fract_y
_atom_site_fract_z
_atom_site_occupancy
K1 K 0.250 0.250 0.250 1
Tl1 Tl 0.000 0.000 0.000 1
Sb1 Sb 0.000 0.000 0.500 1
Cl1 Cl 0.000 0.000 0.266 1
# - Corrected total energy (MP2020 scheme): -145.41 eV for the cell shown
# - Magnetic moment: 0.001 μB per formula unit
# - ρ: 2803 kg/m3
# - Energy of formation: -1.655 eV/atom



5.
# Lu3Pt GGA-PBE relaxed
data_Lu3Pt
_chemical_formula_sum 'Lu12 Pt4'
_symmetry_space_group_name_H-M 'P n m a'
_symmetry_Int_Tables_number 62
_cell_length_a 6.928
_cell_length_b 9.363
_cell_length_c 6.354
_cell_angle_alpha 90.00
_cell_angle_beta 90.00
_cell_angle_gamma 90.00
loop_
_symmetry_equiv_pos_as_xyz
'x,y,z'
'-x,-y,-z'
'-x+1/2,-y,z+1/2'
'x+1/2,y,-z+1/2'
'x+1/2,-y+1/2,-z+1/2'
'-x+1/2,y+1/2,z+1/2'
'-x,y+1/2,-z'
'x,-y+1/2,z'
loop_
_atom_site_label
_atom_site_type_symbol
_atom_site_fract_x
_atom_site_fract_y
_atom_site_fract_z
_atom_site_occupancy
Lu1 Lu 0.029 0.250 0.131 1
Lu2 Lu 0.181 0.062 0.679 1
Pt1 Pt 0.110 0.750 0.453 1
# - ρ: 11603 kg/m3
# - Energy of formation: -0.756 eV/atom



6.
# CsNbCl6 GGA-PBE relaxed
data_CsNbCl6
_chemical_formula_sum 'Cs4 Nb4 Cl24'
_symmetry_space_group_name_H-M 'C 1 2/c 1'
_symmetry_Int_Tables_number 15
_cell_length_a 12.647
_cell_length_b 6.650
_cell_length_c 12.852
_cell_angle_alpha 90.00
_cell_angle_beta 101.94
_cell_angle_gamma 90.00
loop_
_symmetry_equiv_pos_as_xyz
'x,y,z'
'-x,-y,-z'
'-x,y,-z+1/2'
'x,-y,z+1/2'
'x+1/2,y+1/2,z'
'-x+1/2,-y+1/2,-z'
'-x+1/2,y+1/2,-z+1/2'
'x+1/2,-y+1/2,z+1/2'
loop_
_atom_site_label
_atom_site_type_symbol
_atom_site_fract_x
_atom_site_fract_y
_atom_site_fract_z
_atom_site_occupancy
Cs1 Cs 0.000 0.118 0.250 1
Nb1 Nb 0.250 0.250 0.000 1
Cl1 Cl 0.085 0.379 0.898 1
Cl2 Cl 0.157 0.042 0.539 1
Cl3 Cl 0.216 0.411 0.155 1
# - Corrected total energy (MP2020 scheme): -150.42 eV for the cell shown
# - ρ: 2754 kg/m3
# - Energy of formation: -1.940 eV/atom



7.
# Sr2Mg GGA-PBE relaxed
data_Sr2Mg
_chemical_formula_sum 'Sr8 Mg4'
_symmetry_space_group_name_H-M 'C 1 2/m 1'
_symmetry_Int_Tables_number 12
_cell_length_a 14.523
_cell_length_b 4.141
_cell_length_c 8.715
_cell_angle_alpha 90.00
_cell_angle_beta 105.83
_cell_angle_gamma 90.00
loop_
_symmetry_equiv_pos_as_xyz
'x,y,z'
'-x,-y,-z'
'-x,y,-z'
'x,-y,z'
'x+1/2,y+1/2,z'
'-x+1/2,-y+1/2,-z'
'-x+1/2,y+1/2,-z'
'x+1/2,-y+1/2,z'
loop_
_atom_site_label
_atom_site_type_symbol
_atom_site_fract_x
_atom_site_fract_y
_atom_site_fract_z
_atom_site_occupancy
Sr1 Sr 0.023 0.000 0.232 1
Sr2 Sr 0.184 0.500 0.639 1
Mg1 Mg 0.174 0.500 0.045 1
# - Magnetic moment: 0.000 μB per formula unit
# - ρ: 2628 kg/m3
# - Energy of formation: 0.011 eV/atom



8.
# Ba3Ge2B6O16 GGA-PBE relaxed
data_Ba3Ge2B6O16
_chemical_formula_sum 'Ba3 Ge2 B6 O16'
_symmetry_space_group_name_H-M 'P -1'
_symmetry_Int_Tables_number 2
_cell_length_a 5.166
_cell_length_b 7.723
_cell_length_c 8.722
_cell_angle_alpha 77.40
_cell_angle_beta 77.38
_cell_angle_gamma 88.17
loop_
_symmetry_equiv_pos_as_xyz
'x,y,z'
'-x,-y,-z'
loop_
_atom_site_label
_atom_site_type_symbol
_atom_site_fract_x
_atom_site_fract_y
_atom_site_fract_z
_atom_site_occupancy
Ba1 Ba 0.000 0.000 0.000 1
Ba2 Ba 0.118 0.579 0.740 1
Ge1 Ge 0.270 0.170 0.558 1
B1 B 0.310 0.756 0.295 1
B2 B 0.462 0.304 0.973 1
B3 B 0.470 0.091 0.247 1
O1 O 0.020 0.716 0.374 1
O2 O 0.197 0.322 0.994 1
O3 O 0.270 0.178 0.356 1
O4 O 0.290 0.956 0.679 1
O5 O 0.365 0.939 0.205 1
O6 O 0.368 0.635 0.180 1
O7 O 0.413 0.775 0.902 1
O8 O 0.463 0.702 0.425 1
# - Corrected total energy (MP2020 scheme): -212.35 eV for the cell shown
# - ρ: 4400 kg/m3
# - Energy of formation: -2.893 eV/atom



9.
# SrC2 GGA-PBE relaxed
data_SrC2
_chemical_formula_sum 'Sr2 C4'
_symmetry_space_group_name_H-M 'I 4/m m m'
_symmetry_Int_Tables_number 139
_symmetry_space_group_name_Hall '-I 4 2'
_cell_length_a 4.130
_cell_length_b 4.130
_cell_length_c 6.815
_cell_angle_alpha 90.00
_cell_angle_beta 90.00
_cell_angle_gamma 90.00
loop_
_atom_site_label
_atom_site_type_symbol
_atom_site_fract_x
_atom_site_fract_y
_atom_site_fract_z
_atom_site_occupancy
Sr1 Sr 0.000 0.000 0.000 1
C1 C 0.000 0.000 0.407 1
# - ρ: 3190 kg/m3
# - Energy of formation: 0.029 eV/atom



10.
# Cs2RbSmCl6 GGA-PBE relaxed
data_Cs2RbSmCl6
_chemical_formula_sum 'Cs8 Rb4 Sm4 Cl24'
_symmetry_space_group_name_H-M 'F m -3 m'
_symmetry_Int_Tables_number 225
_symmetry_space_group_name_Hall '-F 4 2 3'
_cell_length_a 11.692
_cell_length_b 11.692
_cell_length_c 11.692
_cell_angle_alpha 90.00
_cell_angle_beta 90.00
_cell_angle_gamma 90.00
loop_
_atom_site_label
_atom_site_type_symbol
_atom_site_fract_x
_atom_site_fract_y
_atom_site_fract_z
_atom_site_occupancy
Cs1 Cs 0.250 0.250 0.250 1
Rb1 Rb 0.000 0.000 0.000 1
Sm1 Sm 0.000 0.000 0.500 1
Cl1 Cl 0.000 0.000 0.269 1
# - Corrected total energy (MP2020 scheme): -173.89 eV for the cell shown
# - Magnetic moment: 0.001 μB per formula unit
# - ρ: 2969 kg/m3
# - Energy of formation: -2.489 eV/atom



11.
# Na3Zn3GaS6O24 GGA-PBE relaxed
data_Na3Zn3GaS6O24
_chemical_formula_sum 'Na9 Zn9 Ga3 S18 O72'
_symmetry_space_group_name_H-M 'P 1'
_symmetry_Int_Tables_number 1
_cell_length_a 8.684
_cell_length_b 8.687
_cell_length_c 22.413
_cell_angle_alpha 89.92
_cell_angle_beta 89.98
_cell_angle_gamma 60.08
loop_
_symmetry_equiv_pos_as_xyz
'x,y,z'
loop_
_atom_site_label
_atom_site_type_symbol
_atom_site_fract_x
_atom_site_fract_y
_atom_site_fract_z
_atom_site_occupancy
Na1 Na 0.000 0.000 0.000 1
Na2 Na 0.000 0.368 0.245 1
Na3 Na 0.332 0.699 0.583 1
Na4 Na 0.333 0.334 0.834 1
Na5 Na 0.346 0.333 0.332 1
Na6 Na 0.653 0.680 0.162 1
Na7 Na 0.680 0.653 0.672 1
Na8 Na 0.697 0.969 0.582 1
Na9 Na 0.999 0.014 0.495 1
Zn1 Zn 0.000 0.008 0.655 1
Zn2 Zn 0.000 0.997 0.145 1
Zn3 Zn 0.330 0.334 0.479 1
Zn4 Zn 0.330 0.334 0.686 1
Zn5 Zn 0.334 0.334 0.982 1
Zn6 Zn 0.344 0.333 0.175 1
Zn7 Zn 0.659 0.675 0.317 1
Zn8 Zn 0.667 0.667 0.816 1
Zn9 Zn 0.674 0.659 0.506 1
Ga1 Ga 0.000 0.001 0.850 1
Ga2 Ga 0.000 0.998 0.347 1
Ga3 Ga 0.666 0.668 0.013 1
S1 S 0.001 0.709 0.249 1
S2 S 0.030 0.340 0.081 1
S3 S 0.037 0.627 0.581 1
S4 S 0.292 0.999 0.249 1
S5 S 0.294 0.707 0.749 1
S6 S 0.331 0.041 0.581 1
S7 S 0.339 0.631 0.079 1
S8 S 0.362 0.672 0.414 1
S9 S 0.370 0.960 0.914 1
S10 S 0.629 0.335 0.581 1
S11 S 0.630 0.031 0.079 1
S12 S 0.671 0.371 0.914 1
S13 S 0.672 0.967 0.414 1
S14 S 0.707 0.000 0.749 1
S15 S 0.707 0.291 0.249 1
S16 S 0.959 0.672 0.914 1
S17 S 0.967 0.362 0.411 1
S18 S 0.999 0.295 0.750 1
O1 O 0.008 0.182 0.085 1
O2 O 0.017 0.810 0.586 1
O3 O 0.024 0.181 0.803 1
O4 O 0.026 0.792 0.304 1
O5 O 0.102 0.369 0.138 1
O6 O 0.118 0.523 0.636 1
O7 O 0.138 0.515 0.921 1
O8 O 0.143 0.315 0.029 1
O9 O 0.145 0.343 0.417 1
O10 O 0.148 0.548 0.528 1
O11 O 0.161 0.528 0.246 1
O12 O 0.163 0.308 0.748 1
O13 O 0.175 0.014 0.587 1
O14 O 0.176 0.031 0.303 1
O15 O 0.177 0.802 0.801 1
O16 O 0.182 0.811 0.085 1
O17 O 0.183 0.837 0.407 1
O18 O 0.190 0.973 0.909 1
O19 O 0.210 0.975 0.195 1
O20 O 0.221 0.804 0.691 1
O21 O 0.305 0.164 0.245 1
O22 O 0.307 0.144 0.526 1
O23 O 0.307 0.531 0.747 1
O24 O 0.313 0.548 0.026 1
O25 O 0.341 0.514 0.419 1
O26 O 0.347 0.139 0.921 1
O27 O 0.363 0.120 0.634 1
O28 O 0.370 0.527 0.135 1
O29 O 0.434 0.703 0.471 1
O30 O 0.452 0.847 0.968 1
O31 O 0.469 0.841 0.256 1
O32 O 0.470 0.692 0.755 1
O33 O 0.475 0.647 0.362 1
O34 O 0.476 0.881 0.860 1
O35 O 0.495 0.858 0.576 1
O36 O 0.504 0.647 0.073 1
O37 O 0.514 0.146 0.418 1
O38 O 0.515 0.348 0.921 1
O39 O 0.517 0.366 0.635 1
O40 O 0.525 0.104 0.135 1
O41 O 0.530 0.308 0.245 1
O42 O 0.531 0.164 0.746 1
O43 O 0.547 0.140 0.026 1
O44 O 0.549 0.303 0.527 1
O45 O 0.645 0.476 0.860 1
O46 O 0.645 0.497 0.575 1
O47 O 0.647 0.850 0.073 1
O48 O 0.648 0.879 0.362 1
O49 O 0.691 0.839 0.755 1
O50 O 0.694 0.468 0.256 1
O51 O 0.700 0.866 0.471 1
O52 O 0.702 0.453 0.968 1
O53 O 0.791 0.182 0.305 1
O54 O 0.801 0.023 0.801 1
O55 O 0.805 0.975 0.691 1
O56 O 0.808 0.173 0.587 1
O57 O 0.810 0.010 0.085 1
O58 O 0.820 0.210 0.197 1
O59 O 0.837 0.190 0.909 1
O60 O 0.837 0.981 0.408 1
O61 O 0.840 0.472 0.756 1
O62 O 0.841 0.686 0.255 1
O63 O 0.847 0.703 0.968 1
O64 O 0.850 0.505 0.074 1
O65 O 0.854 0.653 0.576 1
O66 O 0.858 0.440 0.466 1
O67 O 0.880 0.645 0.860 1
O68 O 0.886 0.468 0.357 1
O69 O 0.972 0.221 0.694 1
O70 O 0.973 0.838 0.909 1
O71 O 0.976 0.815 0.196 1
O72 O 0.982 0.182 0.406 1
# - Corrected total energy (MP2020 scheme): -681.75 eV for the cell shown
# - Magnetic moment: 0.000 μB per formula unit
# - ρ: 3098 kg/m3
# - Energy of formation: -1.970 eV/atom



12.
# Tl2O3 GGA-PBE relaxed
data_Tl2O3
_chemical_formula_sum 'Tl32 O48'
_symmetry_space_group_name_H-M 'I a -3'
_symmetry_Int_Tables_number 206
_symmetry_space_group_name_Hall '-I 2b 2c 3'
_cell_length_a 10.774
_cell_length_b 10.774
_cell_length_c 10.774
_cell_angle_alpha 90.00
_cell_angle_beta 90.00
_cell_angle_gamma 90.00
loop_
_atom_site_label
_atom_site_type_symbol
_atom_site_fract_x
_atom_site_fract_y
_atom_site_fract_z
_atom_site_occupancy
Tl1 Tl 0.000 0.000 0.000 1
Tl2 Tl 0.000 0.250 0.284 1
O1 O 0.095 0.138 0.634 1
# - Corrected total energy (MP2020 scheme): -401.42 eV for the cell shown
# - ρ: 9703 kg/m3
# - Energy of formation: -1.104 eV/atom